1.
A relaxed structure of Be3Co2N2F12. Source: the Materials Project, functional PBE with a Hubbard U.

Results
Total magnetization: 54.622 μB per cell
Space-group type: P2_13 (198)
E: -375.17 eV/cell

a b c (Å): 9.915 9.915 9.915
angles (deg): 90.00 90.00 90.00
Positions (direct):
F: 0.330 0.748 0.896
F: 0.047 0.801 0.234
F: 0.248 0.604 0.670
Be: 0.624 0.520 0.290
F: 0.396 0.170 0.252
Be: 0.790 0.876 0.480
N: 0.682 0.182 0.318
Co: 0.837 0.163 0.663
F: 0.565 0.772 0.006
F: 0.443 0.666 0.516
F: 0.516 0.443 0.666
F: 0.834 0.484 0.943
F: 0.772 0.006 0.565
F: 0.748 0.896 0.330
F: 0.506 0.935 0.228
Co: 0.393 0.107 0.893
F: 0.453 0.199 0.734
N: 0.956 0.544 0.456
F: 0.604 0.670 0.248
F: 0.547 0.699 0.766
F: 0.170 0.252 0.396
Be: 0.290 0.624 0.520
Be: 0.210 0.376 0.020
F: 0.334 0.016 0.057
F: 0.670 0.248 0.604
F: 0.065 0.728 0.994
N: 0.544 0.456 0.956
F: 0.896 0.330 0.748
Be: 0.710 0.124 0.980
F: 0.484 0.943 0.834
Be: 0.124 0.980 0.710
F: 0.234 0.047 0.801
F: 0.199 0.734 0.453
F: 0.166 0.984 0.557
F: 0.557 0.166 0.984
F: 0.252 0.396 0.170
F: 0.734 0.453 0.199
F: 0.953 0.301 0.266
Be: 0.980 0.710 0.124
Co: 0.893 0.393 0.107
Be: 0.480 0.790 0.876
Co: 0.607 0.607 0.607
F: 0.984 0.557 0.166
F: 0.494 0.435 0.272
F: 0.272 0.494 0.435
F: 0.057 0.334 0.016
N: 0.182 0.318 0.682
Be: 0.876 0.480 0.790
F: 0.266 0.953 0.301
N: 0.318 0.682 0.182
F: 0.801 0.234 0.047
F: 0.301 0.266 0.953
F: 0.728 0.994 0.065
F: 0.943 0.834 0.484
F: 0.935 0.228 0.506
F: 0.666 0.516 0.443
F: 0.006 0.565 0.772
Be: 0.020 0.210 0.376
F: 0.699 0.766 0.547
Be: 0.520 0.290 0.624
F: 0.016 0.057 0.334
F: 0.228 0.506 0.935
F: 0.994 0.065 0.728
Be: 0.376 0.020 0.210
F: 0.752 0.104 0.830
Co: 0.163 0.663 0.837
N: 0.818 0.818 0.818
N: 0.456 0.956 0.544
Co: 0.337 0.337 0.337
F: 0.830 0.752 0.104
N: 0.044 0.044 0.044
F: 0.104 0.830 0.752
F: 0.435 0.272 0.494
Co: 0.663 0.837 0.163
Co: 0.107 0.893 0.393
F: 0.766 0.547 0.699

=====

2.
A relaxed structure of CrFe3Ni2P6O24. Source: the Materials Project, functional PBE with a Hubbard U.

Results
Total magnetization: 20.006 μB per cell
Space-group type: R3 (146)
E: -248.52 eV/cell

a b c (Å): 8.465 8.465 8.465
angles (deg): 61.17 61.17 61.17
Positions (direct):
O: 0.679 0.497 0.890
O: 0.999 0.821 0.616
O: 0.243 0.592 0.447
Ni: 0.001 0.001 0.001
Fe: 0.644 0.644 0.644
O: 0.908 0.257 0.060
O: 0.257 0.060 0.908
O: 0.936 0.087 0.747
O: 0.592 0.447 0.243
O: 0.060 0.908 0.257
P: 0.952 0.249 0.546
O: 0.405 0.564 0.753
O: 0.753 0.405 0.564
O: 0.177 0.392 0.995
P: 0.455 0.045 0.750
P: 0.750 0.455 0.045
Ni: 0.500 0.500 0.500
O: 0.314 0.510 0.110
O: 0.110 0.314 0.510
O: 0.616 0.999 0.821
Cr: 0.858 0.858 0.858
O: 0.890 0.679 0.497
O: 0.497 0.890 0.679
O: 0.510 0.110 0.314
P: 0.045 0.750 0.455
O: 0.447 0.243 0.592
O: 0.564 0.753 0.405
O: 0.995 0.177 0.392
Fe: 0.144 0.144 0.144
O: 0.087 0.747 0.936
O: 0.747 0.936 0.087
P: 0.546 0.952 0.249
P: 0.249 0.546 0.952
O: 0.392 0.995 0.177
Fe: 0.356 0.356 0.356
O: 0.821 0.616 0.999

=====

3.
A relaxed structure of Cs2MgMo2O12. Source: the Materials Project, functional PBE with a Hubbard U.

Results
Total magnetization: 15.998 μB per cell
Space-group type: P2_1/c (14)
E: -186.04 eV/cell

a b c (Å): 6.213 9.194 12.409
angles (deg): 90.00 90.00 106.84
Positions (direct):
O: 0.406 0.017 0.663
O: 0.101 0.847 0.655
O: 0.815 0.636 0.062
O: 0.399 0.653 0.155
O: 0.057 0.207 0.608
Mo: 0.605 0.733 0.038
O: 0.594 0.983 0.337
O: 0.736 0.290 0.998
Mo: 0.395 0.267 0.962
O: 0.236 0.790 0.502
Mo: 0.895 0.767 0.538
O: 0.943 0.793 0.392
O: 0.315 0.136 0.438
Mo: 0.105 0.233 0.462
Mg: 0.500 0.000 0.500
O: 0.685 0.864 0.562
Mg: 0.000 0.500 0.000
O: 0.557 0.707 0.892
Cs: 0.176 0.946 0.185
O: 0.899 0.153 0.345
Cs: 0.824 0.054 0.815
O: 0.766 0.574 0.561
O: 0.764 0.210 0.498
Cs: 0.324 0.554 0.685
O: 0.906 0.517 0.837
O: 0.734 0.926 0.061
O: 0.266 0.074 0.939
O: 0.443 0.293 0.108
O: 0.601 0.347 0.845
O: 0.234 0.426 0.439
O: 0.264 0.710 0.002
O: 0.185 0.364 0.938
O: 0.094 0.483 0.163
Cs: 0.676 0.446 0.315

=====

4.
A relaxed structure of Li3V2P4H2O16. Source: the Materials Project, functional PBE with a Hubbard U.

Results
Excess energy over the best structure of this formula in the dataset: 64 meV per atom
Total magnetization: 6.000 μB per cell
Space-group type: P2_1 (4)
E: -371.09 eV/cell

a b c (Å): 8.081 7.555 9.749
angles (deg): 75.28 90.00 90.00
Positions (direct):
O: 0.559 0.805 0.501
H: 0.510 0.768 0.603
O: 0.060 0.197 0.998
O: 0.831 0.933 0.899
V: 0.497 0.242 0.127
O: 0.682 0.443 0.636
O: 0.560 0.803 0.002
Li: 0.631 0.597 0.925
O: 0.052 0.910 0.185
O: 0.452 0.402 0.941
Li: 0.871 0.096 0.178
Li: 0.136 0.403 0.575
P: 0.156 0.018 0.058
V: 0.005 0.749 0.374
O: 0.959 0.587 0.567
O: 0.168 0.896 0.455
Li: 0.636 0.597 0.425
O: 0.327 0.398 0.705
O: 0.552 0.090 0.815
V: 0.505 0.251 0.626
O: 0.945 0.307 0.248
O: 0.947 0.306 0.760
O: 0.327 0.393 0.201
P: 0.350 0.516 0.307
O: 0.445 0.693 0.752
H: 0.994 0.259 0.867
H: 0.494 0.741 0.133
O: 0.827 0.607 0.799
O: 0.174 0.897 0.950
Li: 0.131 0.403 0.075
O: 0.549 0.103 0.307
P: 0.652 0.990 0.437
O: 0.049 0.897 0.693
O: 0.059 0.195 0.499
O: 0.178 0.562 0.869
P: 0.850 0.484 0.693
P: 0.347 0.517 0.812
O: 0.674 0.103 0.050
Li: 0.371 0.904 0.822
O: 0.952 0.598 0.059
O: 0.459 0.413 0.433
O: 0.827 0.602 0.295
O: 0.816 0.940 0.379
P: 0.847 0.483 0.188
P: 0.656 0.982 0.942
V: 0.997 0.758 0.873
O: 0.316 0.060 0.621
H: 0.010 0.232 0.397
P: 0.152 0.010 0.563
O: 0.331 0.067 0.101
O: 0.668 0.104 0.545
O: 0.678 0.438 0.131
O: 0.447 0.694 0.240
O: 0.182 0.557 0.364

=====

5.
A relaxed structure of Li3Fe3SbO8. Source: the Materials Project, functional PBE with a Hubbard U.

Results
Excess energy over the best structure of this formula in the dataset: 0 meV per atom
Total magnetization: 14.000 μB per cell
Space-group type: C2/m (12)
E: -91.16 eV/cell

a b c (Å): 6.107 6.107 6.103
angles (deg): 60.20 60.20 59.77
Positions (direct):
O: 0.251 0.251 0.280
Fe: 0.500 0.500 0.000
O: 0.766 0.766 0.242
Fe: 0.500 0.000 0.500
Li: 0.000 0.000 0.500
O: 0.241 0.775 0.760
O: 0.749 0.749 0.720
O: 0.759 0.225 0.240
Sb: 0.000 0.000 0.000
O: 0.234 0.234 0.758
O: 0.775 0.241 0.760
Li: 0.000 0.500 0.000
Fe: 0.000 0.500 0.500
O: 0.225 0.759 0.240
Li: 0.500 0.000 0.000

=====

6.
A relaxed structure of Li3MnP2O8. Source: the Materials Project, functional PBE with a Hubbard U.

Results
Excess energy over the best structure of this formula in the dataset: 11 meV per atom
Total magnetization: 0.000 μB per cell
E: -377.69 eV/cell

a b c (Å): 5.900 9.591 11.038
angles (deg): 66.87 90.00 90.00
Positions (direct):
O: 0.750 0.875 0.443
Mn: 0.750 0.842 0.278
O: 0.543 0.779 0.657
Li: 0.750 0.483 0.935
O: 0.250 0.701 0.880
Li: 0.750 0.360 0.774
O: 0.540 0.044 0.170
Li: 0.000 0.500 0.500
P: 0.750 0.644 0.100
O: 0.960 0.544 0.170
O: 0.540 0.544 0.170
O: 0.250 0.915 0.417
O: 0.043 0.221 0.343
O: 0.750 0.299 0.120
O: 0.459 0.956 0.830
O: 0.958 0.279 0.657
O: 0.040 0.456 0.830
O: 0.750 0.181 0.953
O: 0.460 0.456 0.830
O: 0.250 0.319 0.047
O: 0.457 0.221 0.343
O: 0.250 0.625 0.557
O: 0.042 0.721 0.343
Li: 0.750 0.860 0.774
O: 0.958 0.779 0.657
Mn: 0.750 0.342 0.278
O: 0.250 0.819 0.047
Li: 0.250 0.140 0.226
O: 0.960 0.044 0.170
Li: 0.000 0.000 0.500
P: 0.250 0.855 0.900
P: 0.250 0.258 0.414
O: 0.543 0.279 0.657
O: 0.750 0.375 0.443
P: 0.250 0.356 0.900
Mn: 0.250 0.158 0.722
O: 0.750 0.585 0.583
O: 0.040 0.956 0.830
Mn: 0.250 0.658 0.722
Li: 0.500 0.000 0.500
O: 0.458 0.721 0.343
Li: 0.750 0.983 0.935
Li: 0.500 0.500 0.500
P: 0.750 0.742 0.586
Li: 0.250 0.640 0.226
O: 0.750 0.085 0.583
O: 0.250 0.415 0.417
O: 0.750 0.799 0.120
P: 0.750 0.145 0.100
O: 0.750 0.681 0.953
Li: 0.250 0.017 0.065
P: 0.250 0.758 0.414
P: 0.750 0.242 0.586
O: 0.250 0.201 0.880
O: 0.250 0.125 0.557
Li: 0.250 0.517 0.065

=====

7.
A relaxed structure of Li47Ni8O32. Source: the Materials Project, functional PBE with a Hubbard U.

Results
Total magnetization: 17.000 μB per cell
Space-group type: P1 (1)
E: -414.02 eV/cell

a b c (Å): 9.160 9.402 9.423
angles (deg): 89.79 89.93 89.99
Positions (direct):
Ni: 0.099 0.624 0.633
Li: 0.841 0.120 0.385
O: 0.993 0.512 0.259
O: 0.736 0.768 0.758
Li: 0.367 0.880 0.851
Ni: 0.101 0.121 0.867
Li: 0.616 0.384 0.609
Li: 0.120 0.648 0.133
Li: 0.333 0.375 0.381
Li: 0.117 0.148 0.365
O: 0.011 0.484 0.763
Li: 0.864 0.622 0.852
Li: 0.616 0.887 0.892
Li: 0.867 0.893 0.871
Li: 0.366 0.108 0.628
O: 0.758 0.262 0.256
O: 0.479 0.759 0.989
Ni: 0.401 0.123 0.369
Li: 0.632 0.115 0.148
Li: 0.865 0.120 0.652
O: 0.522 0.241 0.011
Li: 0.134 0.106 0.126
Ni: 0.402 0.622 0.130
O: 0.755 0.487 0.477
Li: 0.122 0.365 0.612
Li: 0.380 0.861 0.386
Li: 0.634 0.620 0.348
Li: 0.365 0.608 0.871
Li: 0.617 0.849 0.130
O: 0.749 0.990 0.518
Li: 0.881 0.154 0.114
O: 0.249 0.511 0.520
O: 0.489 0.484 0.261
O: 0.511 0.016 0.760
O: 0.251 0.010 0.481
Ni: 0.598 0.878 0.630
Li: 0.661 0.126 0.883
O: 0.739 0.499 0.975
O: 0.251 0.007 0.980
Li: 0.618 0.641 0.884
Li: 0.161 0.372 0.882
O: 0.264 0.233 0.240
Li: 0.604 0.351 0.370
Li: 0.138 0.612 0.378
Li: 0.384 0.114 0.107
Li: 0.386 0.614 0.393
Li: 0.882 0.642 0.390
Li: 0.868 0.391 0.636
O: 0.988 0.017 0.261
Li: 0.116 0.115 0.604
O: 0.490 0.983 0.239
Li: 0.384 0.147 0.869
O: 0.011 0.984 0.735
O: 0.249 0.510 0.020
O: 0.736 0.265 0.741
O: 0.982 0.740 0.992
Li: 0.846 0.608 0.116
Ni: 0.887 0.376 0.360
O: 0.766 0.762 0.260
O: 0.977 0.254 0.497
O: 0.521 0.742 0.489
Li: 0.659 0.627 0.618
Li: 0.115 0.613 0.894
Li: 0.650 0.391 0.125
O: 0.028 0.251 0.007
Li: 0.620 0.138 0.614
O: 0.510 0.517 0.736
Li: 0.379 0.362 0.115
O: 0.265 0.734 0.260
Li: 0.383 0.648 0.630
Ni: 0.598 0.378 0.869
Ni: 0.900 0.877 0.131
Li: 0.635 0.891 0.371
Li: 0.885 0.361 0.897
O: 0.236 0.234 0.736
Li: 0.884 0.854 0.630
Li: 0.121 0.860 0.887
Li: 0.134 0.882 0.351
Li: 0.160 0.875 0.618
Li: 0.341 0.874 0.117
Li: 0.367 0.381 0.647
Li: 0.885 0.885 0.392
O: 0.752 0.992 0.019
O: 0.236 0.735 0.760
O: 0.479 0.258 0.511
Li: 0.117 0.378 0.142
O: 0.020 0.759 0.491